# 1
First-principles (PBE with a Hubbard U) data for a relaxed Li5VP2O9 crystal, as listed in the Materials Project.

a b c (Å): 7.7165 7.7165 7.7165
angles (deg): 105.39 105.39 117.99
Atoms (fractional coordinates):
Li (0.0253, 0.2500, 0.7753)
Li (0.2500, 0.0253, 0.7753)
Li (0.2500, 0.4747, 0.2247)
Li (0.2500, 0.7500, 0.5000)
Li (0.4747, 0.2500, 0.2247)
Li (0.5253, 0.7500, 0.7753)
Li (0.7500, 0.2500, 0.5000)
Li (0.7500, 0.5253, 0.7753)
Li (0.7500, 0.9747, 0.2247)
Li (0.9747, 0.7500, 0.2247)
V (0.0000, 0.0000, 0.0000)
V (0.5000, 0.5000, 0.0000)
P (0.2070, 0.7070, 0.9140)
P (0.2930, 0.2070, 0.5000)
P (0.7070, 0.7930, 0.5000)
P (0.7930, 0.2930, 0.0860)
O (0.0195, 0.5195, 0.2196)
O (0.1275, 0.1813, 0.3089)
O (0.1813, 0.8725, 0.0538)
O (0.2001, 0.9805, 0.5000)
O (0.2500, 0.2500, 0.0000)
O (0.2999, 0.7999, 0.7804)
O (0.3187, 0.3725, 0.6911)
O (0.3725, 0.6813, 0.0538)
O (0.4805, 0.7001, 0.5000)
O (0.5195, 0.2999, 0.5000)
O (0.6275, 0.3187, 0.9462)
O (0.6813, 0.6275, 0.3089)
O (0.7001, 0.2001, 0.2196)
O (0.7500, 0.7500, 0.0000)
O (0.7999, 0.0195, 0.5000)
O (0.8187, 0.1275, 0.9462)
O (0.8725, 0.8187, 0.6911)
O (0.9805, 0.4805, 0.7804)

Results
DFT formation energy in eV per formula unit: -45.20
SG: I4/mcm, No. 140

# 2
First-principles (PBE with a Hubbard U) data for a relaxed CaMo2O7 crystal, as listed in the Materials Project.

a b c (Å): 6.8983 7.1071 8.6210
angles (deg): 90.00 106.59 90.00
Atoms (fractional coordinates):
Ca (0.1185, 0.0000, 0.1409)
Ca (0.8815, 0.5000, 0.8591)
Mo (0.1049, 0.5241, 0.2915)
Mo (0.3327, 0.5565, 0.7060)
Mo (0.6673, 0.0565, 0.2940)
Mo (0.8951, 0.0241, 0.7085)
O (0.0551, 0.6566, 0.1023)
O (0.1118, 0.4350, 0.7210)
O (0.1218, 0.9874, 0.6690)
O (0.1921, 0.2981, 0.2527)
O (0.2807, 0.6360, 0.4815)
O (0.3843, 0.7338, 0.8488)
O (0.4509, 0.9077, 0.2464)
O (0.5491, 0.4077, 0.7536)
O (0.6157, 0.2338, 0.1512)
O (0.7193, 0.1360, 0.5185)
O (0.8079, 0.7981, 0.7473)
O (0.8782, 0.4874, 0.3310)
O (0.8882, 0.9350, 0.2790)
O (0.9449, 0.1566, 0.8977)

Results
DFT formation energy in eV per formula unit: -22.43
SG: P2_1, No. 4

Question: Which of these has the highest DFT formation energy?
Answer: CaMo2O7

Question: The highest DFT formation energy belongs to which entry?
Answer: CaMo2O7

Question: Look up the DFT formation energy of the first one.
Answer: -45.20 eV per formula unit

Please write out number 1 again, unchanged.
First-principles (PBE with a Hubbard U) data for a relaxed Li5VP2O9 crystal, as listed in the Materials Project.

a b c (Å): 7.7165 7.7165 7.7165
angles (deg): 105.39 105.39 117.99
Atoms (fractional coordinates):
Li (0.0253, 0.2500, 0.7753)
Li (0.2500, 0.0253, 0.7753)
Li (0.2500, 0.4747, 0.2247)
Li (0.2500, 0.7500, 0.5000)
Li (0.4747, 0.2500, 0.2247)
Li (0.5253, 0.7500, 0.7753)
Li (0.7500, 0.2500, 0.5000)
Li (0.7500, 0.5253, 0.7753)
Li (0.7500, 0.9747, 0.2247)
Li (0.9747, 0.7500, 0.2247)
V (0.0000, 0.0000, 0.0000)
V (0.5000, 0.5000, 0.0000)
P (0.2070, 0.7070, 0.9140)
P (0.2930, 0.2070, 0.5000)
P (0.7070, 0.7930, 0.5000)
P (0.7930, 0.2930, 0.0860)
O (0.0195, 0.5195, 0.2196)
O (0.1275, 0.1813, 0.3089)
O (0.1813, 0.8725, 0.0538)
O (0.2001, 0.9805, 0.5000)
O (0.2500, 0.2500, 0.0000)
O (0.2999, 0.7999, 0.7804)
O (0.3187, 0.3725, 0.6911)
O (0.3725, 0.6813, 0.0538)
O (0.4805, 0.7001, 0.5000)
O (0.5195, 0.2999, 0.5000)
O (0.6275, 0.3187, 0.9462)
O (0.6813, 0.6275, 0.3089)
O (0.7001, 0.2001, 0.2196)
O (0.7500, 0.7500, 0.0000)
O (0.7999, 0.0195, 0.5000)
O (0.8187, 0.1275, 0.9462)
O (0.8725, 0.8187, 0.6911)
O (0.9805, 0.4805, 0.7804)

Results
DFT formation energy in eV per formula unit: -45.20
SG: I4/mcm, No. 140